Entry 1:
Entry from the Materials Project database: an optimized crystal structure of Na8MgZr3Si5SO24 (PBE).

Cell and atoms, written as extended XYZ:
```
126
Lattice="-3.1186 -3.8663 7.8403 1.8018 -5.3196 -7.4080 21.5013 -2.5640 7.1097" Properties=species:S:1:pos:R:3 pbc="T T T"
O 12.4573 -4.1925 7.5352
O 2.3976 -4.2475 -3.0936
O 2.2751 -4.2129 2.1719
O 21.3022 -5.5350 4.7532
O 14.1608 -5.4875 9.4585
O 9.8927 -6.2477 10.4693
O 19.8909 -3.4138 5.2665
O 18.7275 -7.5139 7.9209
O 10.1351 -3.9502 6.2114
O 10.2285 -5.5385 -3.1154
O 18.5460 -5.0791 9.4053
O 20.8738 -8.1925 0.5373
O 5.9177 -1.6691 3.6759
O 7.6691 -7.5332 0.0326
O 8.4823 -4.7680 -1.1539
O 3.2573 -7.8656 1.5902
O 16.0710 -8.3717 3.2968
O 12.8698 -7.3144 0.5107
O 14.1299 -10.0015 3.9503
O 11.5644 -6.9512 8.7782
O 5.4241 -6.4109 -4.3318
O 16.2644 -6.2735 -0.8999
O 14.3173 -7.8808 8.0100
O 12.8822 -4.5514 1.5249
O -1.2859 -3.6264 4.5246
O 1.6591 -6.6554 -1.8128
O 16.1135 -5.6623 4.2167
O 3.3017 -5.5481 5.9201
O 14.6866 -3.5515 4.7431
O -1.0352 -6.2351 2.7682
O 8.0852 -9.3753 2.0628
O 18.9291 -8.2634 2.5015
O 21.5367 -8.1669 3.0537
O 15.1549 -5.4117 6.7435
O 16.9266 -6.2672 1.5892
O 0.4166 -8.3784 2.3186
O 12.0274 -6.8399 3.2192
O 14.8307 -5.3858 11.9867
O 1.3605 -3.3953 5.1059
O 9.2705 -6.3214 8.1743
O 1.2833 -6.5551 4.1394
O 7.4788 -4.9608 1.7895
O -0.2748 -3.4687 1.5891
O 8.1263 -4.9388 4.2773
O 12.0773 -2.3651 5.4434
O 15.7517 -10.0334 7.4854
O 18.0441 -7.5522 5.4043
O 11.4931 -9.0733 4.6308
O 18.9742 -5.3027 3.4638
O 10.9602 -5.5096 -0.5681
O 7.3170 -4.3712 6.9835
O 4.1536 -3.2092 4.2357
O 5.4272 -8.1160 2.6811
O 3.9347 -5.5099 8.5001
O 8.6530 -2.6955 2.8978
O 17.0403 -3.7802 5.9935
O 10.0765 -4.8361 2.3204
O 5.7948 -3.8950 -0.4310
O 1.5142 -4.2172 -0.3604
O 12.7253 -6.8184 5.7595
O 9.9871 -7.7765 1.3086
O 6.0261 -6.3634 -2.0288
O -0.5996 -3.5332 7.0340
O 20.5299 -8.2992 6.0208
O 7.2995 -7.0146 6.0367
O 5.0459 -6.4456 0.8786
O 17.8081 -7.5523 10.6240
O 18.5989 -9.9225 6.6902
O 10.1022 -6.9380 5.1895
O 1.6431 -1.8536 0.9113
O 4.1372 -6.1370 3.1249
O 4.4690 -1.7038 0.0840
Na 23.1697 -7.8622 -0.3305
Na 14.9021 -3.4603 8.2062
Na 3.5801 -5.1698 -1.1951
Na 12.3897 -9.1918 2.2310
Na 2.2729 -2.1559 -1.7355
Na 7.9984 -7.4459 3.5166
Na 16.2859 -6.4633 8.6324
Na 4.7211 -3.9423 1.8794
Na 5.6452 -5.2492 5.2565
Na 12.2736 -4.5160 4.2080
Na 14.6052 -6.6406 2.4755
Na 13.7234 -5.3873 -0.8460
Na 17.5515 -5.2325 11.7425
Na 15.2030 -7.6568 5.6879
Na 13.7467 -7.6849 10.3884
Na 6.3476 -6.3160 8.3543
Na 2.4878 -6.5497 -4.1983
Na 3.3249 -3.2659 6.6710
Na 19.1764 -5.2338 6.9018
Na 12.4248 -6.5513 -3.8239
Na 3.2438 -7.6771 4.9358
Na 17.8692 -9.6261 9.1448
Na 0.8766 -6.4450 0.6381
Na 8.0471 -2.4622 5.2678
Mg 13.3700 -6.0292 7.5539
Mg 2.2408 -4.8404 4.0986
Mg 4.5719 -4.8131 10.2705
Si 14.2785 -9.4900 7.9914
Si 20.2531 -4.4685 4.0619
Si 2.8731 -6.0715 7.4212
Si 11.4906 -3.1529 6.7915
Si 18.9588 -8.3313 6.5158
Si -0.1401 -2.9797 5.5169
Si 1.2989 -3.4908 1.1063
Si 8.6104 -4.3025 2.8269
Si 20.4096 -8.7581 2.0059
Si 13.9082 -4.6607 10.8220
Si 15.7346 -4.6366 5.4518
Si 11.6434 -7.4169 4.7403
Si 10.0590 -4.7518 -1.7135
Si -0.0033 -7.2910 3.5065
Si 8.6792 -8.6336 0.7593
Zr 11.2432 -6.2410 1.3454
Zr 0.5243 -4.8753 -2.2011
Zr 7.0437 -5.5683 -0.0525
Zr 19.6426 -6.8828 9.7443
Zr 8.8906 -5.5597 6.0843
Zr 17.6732 -6.9325 3.4726
Zr 3.1091 -0.4633 0.9531
Zr 15.7963 -6.9501 -2.7009
Zr 16.9592 -11.3545 6.4759
S 6.3099 -7.0939 -3.3270
S 4.4768 -7.1534 2.0971
S 10.1649 -6.9806 9.1872
```

Summary:
Formation energy from the elements, eV per formula unit: -123.001
Size of the total moment, μB/cell: 0.00

---

Entry 2:
Entry from the Materials Project database: an optimized crystal structure of Na10Mg4Zr4Si5S7O48 (PBE).

Cell and atoms, written as extended XYZ:
```
234
Lattice="-2.0836 17.2838 4.9838 -6.0832 -6.2153 2.5515 11.9264 -3.8931 19.1440" Properties=species:S:1:pos:R:3 pbc="T T T"
O 3.4897 2.8865 22.1387
O 1.2978 8.9934 12.7539
O 0.5702 6.6662 20.2458
O 6.8114 -2.5416 14.2636
O 6.9626 -3.4357 21.8217
O 1.2334 -4.8021 11.0706
O 3.9159 9.6162 14.2111
O 3.9198 7.0305 24.2329
O 7.3501 6.1661 18.8906
O 3.9127 0.2957 19.9235
O 1.3974 6.6174 13.3783
O 6.2276 7.5870 23.0452
O -1.4884 -2.4032 10.4319
O 0.4054 14.7415 11.2043
O 0.2181 10.7479 8.8162
O 5.3359 9.4995 16.1981
O -1.1550 2.1166 12.4817
O -4.9343 2.9367 6.1406
O -2.2567 -3.4766 7.7735
O 1.0799 -1.3303 9.0633
O -1.9368 -0.6434 12.5501
O 0.2475 8.4590 17.8386
O -3.3873 5.1634 10.2688
O 7.2768 -5.3536 18.0371
O 3.6460 11.5351 17.9318
O 0.1755 4.1117 16.6943
O 3.2108 -7.6125 15.5275
O 1.6058 -1.9735 17.7456
O 5.7664 -2.9071 19.4401
O 7.2567 2.0725 16.2998
O 3.5242 -1.2435 8.8642
O -2.4757 6.2847 12.9379
O 1.3109 9.1164 15.7648
O 7.5786 3.2796 22.5614
O 3.5715 2.9129 19.2090
O -0.1485 -6.4646 10.0413
O 2.6939 8.4376 17.6639
O 1.2907 -0.1732 15.3364
O 1.3714 6.7791 16.5360
O -2.2563 13.5679 5.1597
O -4.8181 12.4779 6.5025
O -3.6802 -5.3417 6.6813
O 4.0361 13.7681 16.5159
O 5.7606 6.0938 16.7631
O 2.2993 5.0667 20.4715
O -1.1926 4.8716 2.6757
O 2.4013 -1.8607 14.0345
O 2.1708 1.0200 18.0145
O 1.4242 2.2647 6.2966
O 0.3222 -4.3726 8.8528
O 4.5424 -5.7611 19.6408
O 3.6603 -4.0306 12.7153
O -1.0696 6.1508 15.2417
O -4.7930 3.4171 9.1098
O 6.4680 -0.6279 16.1994
O 8.5370 3.7579 17.4366
O 3.7003 0.5840 22.9249
O 7.5025 12.3988 19.9361
O 1.0285 2.6747 11.5694
O 0.0701 4.2496 7.6392
O -0.0507 11.2738 14.0607
O 1.6211 5.9754 8.8043
O -1.0970 6.1920 9.0946
O -3.1532 9.6091 12.3079
O 6.2243 10.7102 18.8014
O 5.7332 -3.1971 16.4993
O 4.9180 1.1436 17.6830
O 4.7292 5.7331 21.9375
O -2.9704 8.0584 14.9362
O -5.9199 11.6085 8.6661
O -3.7980 3.8479 3.9917
O 8.6699 8.4903 21.7315
O -3.0246 10.5631 5.0444
O -0.9751 15.2633 6.3160
O -2.7022 8.0271 10.4610
O 9.7149 -0.1503 19.2314
O 2.4584 7.3458 11.3769
O 3.7400 -0.2094 15.1653
O 4.9464 0.9812 11.6671
O 0.0748 6.8977 6.8276
O 2.6011 4.6247 15.1903
O 0.2706 4.2927 4.5429
O 2.2067 9.0072 8.9761
O 1.0558 -1.9004 4.3599
O -1.0211 1.4210 4.7078
O 0.0006 -2.5709 12.6560
O 5.4268 8.0119 18.6981
O 2.5502 11.9151 15.5220
O 2.8711 8.9427 22.4180
O -3.2057 -2.9973 3.5175
O 4.6705 2.8735 15.3801
O -4.4727 9.6095 10.2592
O -5.8899 7.4389 7.5103
O 5.0798 5.1244 14.0117
O 6.0668 -6.3614 21.4470
O -1.6999 -0.6971 8.0192
O 7.9477 1.6864 20.7449
O 4.9602 -1.6105 21.7357
O 5.9201 5.2006 24.3224
O 4.6937 5.4422 18.9965
O -1.9482 1.8829 2.5007
O 9.6261 -4.6191 17.9934
O 5.6124 7.9793 14.2776
O -3.4869 8.4227 6.1374
O 0.0718 6.6166 3.7697
O 3.8762 9.7806 20.1757
O 7.2733 -1.0537 20.5406
O 4.6165 -5.7270 16.7167
O 3.5339 3.3276 12.9905
O 1.2026 -4.5237 14.1939
O 3.4397 0.4157 6.5558
O -2.4307 -0.2203 3.6602
O -1.3281 8.9282 5.1190
O -2.0442 0.9442 9.8110
O -0.8229 12.9190 7.0123
O -1.0652 1.6359 7.7296
O -2.0572 10.0156 7.2111
O 2.4124 11.6595 12.5436
O -3.4176 0.9063 7.7796
O 3.4724 2.9558 10.0613
O 2.5017 -1.9749 10.9227
O -0.6945 4.2669 11.3555
O 0.2147 3.7974 13.5809
O 3.3358 -3.5745 17.9734
O 4.7463 -8.0626 20.4324
O 5.0188 2.2887 23.9413
O -4.8323 -1.2272 5.0049
O -0.9334 13.0530 10.1270
O 0.0512 -2.5531 6.4689
O 6.9035 10.3278 23.2445
O 8.3884 -2.4711 16.4028
O -2.3805 3.6954 6.2665
O 2.3604 0.3666 10.2147
O 8.6232 -5.3674 20.0771
O -3.3675 12.3710 8.7819
O 8.5804 4.0274 20.4791
O -4.2695 5.6339 6.0061
O 0.0209 7.3702 11.5118
O 2.3621 0.4714 13.2693
O 6.2319 3.2892 20.5255
O -0.2526 0.2371 2.6881
O 6.6425 -0.6578 11.7782
O -2.1235 10.3458 10.2684
O 6.3305 0.8708 13.6861
Na 3.7950 15.1094 14.3841
Na 3.6843 -3.9560 14.9601
Na 4.5548 -1.2036 17.6154
Na -5.0993 9.7691 7.3224
Na -0.4830 8.5223 9.0723
Na 3.6701 7.1453 26.5042
Na 1.1823 2.4031 8.6401
Na 3.5004 7.4442 20.0840
Na 7.1110 0.2863 18.3592
Na -4.0644 1.1646 4.8654
Na -0.8228 6.1533 17.5924
Na 4.6493 9.1850 24.0556
Na 2.6049 4.7124 17.4492
Na -3.0709 12.3645 11.2032
Na 4.4767 12.0488 20.0567
Na -1.2333 0.5042 14.4878
Na 4.3485 1.0883 8.7059
Na 7.4998 8.7052 17.7528
Na -2.4867 -2.0596 5.4610
Na 4.7754 -1.4939 24.0504
Na 5.5251 3.4116 17.5816
Na 8.5577 0.0466 15.2685
Na -3.5220 6.4695 8.0268
Na 2.1350 5.0205 10.9641
Na 0.4662 11.0919 11.1735
Na 5.7057 0.5357 21.5815
Na -1.9813 3.8061 8.6622
Na 2.1370 4.4673 6.5017
Na 0.2421 -2.4915 15.1372
Na 6.0570 8.9365 20.8326
S 0.8705 -5.4286 9.8052
S 7.6335 3.1235 21.1165
S -2.4716 9.4681 5.9101
S 2.4714 -0.4466 14.4483
S 1.3003 7.5837 12.2741
S 3.7102 1.9996 23.3409
S 7.1722 11.8346 18.6377
S -0.2004 3.2045 12.3174
S -1.4198 0.8316 3.4344
S 5.2942 9.3775 14.7300
S 4.7547 -6.6446 20.8480
S 0.0922 5.1664 3.3681
S 2.3788 -1.0847 9.7816
S 8.2096 3.1955 16.1389
S -0.9673 13.8147 5.8631
S 8.6746 -5.5185 18.6317
S 1.4293 8.2098 16.9284
S -0.8535 14.4836 10.5234
S -2.0425 0.7415 8.3684
S 6.3302 0.7340 12.2194
S -3.1069 9.4096 10.8679
Si -4.7913 12.8025 8.1597
Si 3.6598 1.3178 18.7088
Si -1.4299 -2.1084 12.1099
Si 3.9151 4.0051 14.5141
Si 2.6968 1.5155 5.6582
Si 2.8884 12.6263 17.0161
Si 1.5802 10.2005 8.1200
Si 5.8725 6.4769 18.3926
Si 6.9134 -2.1648 15.8911
Si 6.1911 -2.3253 20.9576
Si 2.6191 9.9608 21.1982
Si -3.8175 4.1257 5.6795
Si 5.1481 6.3085 23.4554
Si -2.4841 6.5635 14.5871
Si 0.1815 5.8124 8.0949
Mg -0.5080 3.0780 6.0738
Mg 3.0576 7.2536 9.2180
Mg -1.5099 11.7290 8.4738
Mg -4.2325 -1.3772 2.8769
Mg 0.7610 5.4209 14.9040
Mg 2.0246 7.8097 23.7811
Mg 1.8603 -3.2531 12.3828
Mg 2.0733 15.8137 11.7071
Mg 4.2430 9.6784 18.1785
Mg -5.2572 7.2510 5.3585
Mg 3.0720 -0.8361 21.2971
Mg 5.3030 1.0384 15.6987
Zr 5.3964 -4.3506 18.1252
Zr -4.3062 -6.6384 5.3744
Zr 8.8944 -0.1952 21.3483
Zr 2.0264 10.6225 14.1759
Zr 7.8469 8.4560 23.8265
Zr -0.7012 -2.5065 8.6350
Zr 4.3534 4.2898 20.6208
Zr 7.6304 -2.4583 12.4808
Zr -1.8389 6.1117 11.1074
Zr 6.5790 6.1918 14.9891
Zr 0.6974 8.1911 5.3940
Zr 3.0231 1.9197 11.7625
```

Summary:
Formation energy from the elements, eV per formula unit: -205.937
Size of the total moment, μB/cell: 0.00